(1)
First-principles (PBE) data for GdBr after structural relaxation, as listed in Materials Project.

Calculated values
**DFT formation energy**: -1.482 eV per atom

Cell: 3.8265 3.8265 10.1216 Å, 90.00 90.00 120.00°
Last column: nearest neighbours and their distance in Å.
Element x y z (fractional)
Gd1 0.3333 0.6667 0.3582  3 Br 2.96
Gd2 0.6667 0.3333 0.6418  3 Br 2.96
Br1 0.3333 0.6667 0.8359  3 Gd 2.96
Br2 0.6667 0.3333 0.1641  3 Gd 2.96

(2)
First-principles (PBE) data for Gd2Br3 after structural relaxation, as listed in Materials Project.

Calculated values
**DFT formation energy**: -1.847 eV per atom

Cell: 8.5317 8.5317 10.8722 Å, 118.13 118.13 27.22°
Last column: nearest neighbours and their distance in Å.
Element x y z (fractional)
Gd1 0.0828 0.0828 0.4519  4 Br 2.97-2.99
Gd2 0.3660 0.3660 0.2130  5 Br 2.93-3.04
Gd3 0.6340 0.6340 0.7870  5 Br 2.93-3.04
Gd4 0.9172 0.9172 0.5481  4 Br 2.97-2.99
Br1 0.1595 0.1595 0.0121  3 Gd 3.03-3.04
Br2 0.2709 0.2709 0.3810  3 Gd 2.94-2.99
Br3 0.4523 0.4523 0.7694  3 Gd 2.93-2.97
Br4 0.5477 0.5477 0.2306  3 Gd 2.93-2.97
Br5 0.7291 0.7291 0.6190  3 Gd 2.94-2.99
Br6 0.8405 0.8405 0.9879  3 Gd 3.03-3.04